Computed, not measured: a geometry-optimized CaCuF4 structure at the r²SCAN level of DFT.

Properties
- ΔE_f (eV per atom) = -3.043
- energy (eV for the cell shown) = -97.297

a = 5.3929 Å, b = 5.3929 Å, c = 6.4066 Å
α = 114.89°, β = 114.89°, γ = 90.00°
Fractional positions:
F  0.6932  0.1932  0.7440
F  0.9492  0.4492  0.2560
F  0.3068  0.8068  0.2560
F  0.5507  0.6932  0.7440
F  0.4493  0.3068  0.2560
F  0.0508  0.5508  0.7440
F  0.1932  0.0507  0.7440
F  0.8068  0.9493  0.2560
Ca  0.7500  0.7500  0.5000
Ca  0.2500  0.2500  0.5000
Cu  0.5000  0.0000  0.0000
Cu  0.0000  0.5000  0.0000